! PBE Tb2Si2O7, optimized geometry; values from VASP
&SYSTEM
  ibrav = 0, nat = 44, ntyp = 3
/
ATOMIC_SPECIES
Tb 158.93 Tb.upf
Si 28.09 Si.upf
O 16.00 O.upf
CELL_PARAMETERS angstrom
6.686 0.000 0.000
-0.218 6.716 0.000
-0.256 -0.910 12.149
ATOMIC_POSITIONS angstrom
Tb 0.245 2.090 1.401
Tb 0.680 0.269 4.341
Tb 1.983 5.450 1.318
Tb 2.242 0.915 7.693
Tb 3.970 4.890 4.455
Tb 4.230 0.356 10.831
Tb 5.532 5.536 7.808
Tb 5.967 3.716 10.748
Si 0.744 3.851 4.616
Si 0.771 0.197 10.747
Si 2.206 4.344 7.221
Si 2.903 3.732 10.020
Si 3.309 2.074 2.129
Si 4.006 1.462 4.928
Si 5.441 5.609 1.402
Si 5.469 1.955 7.533
O 6.376 1.403 11.157
O -0.164 4.402 0.992
O -0.419 5.890 9.901
O 0.041 1.016 7.031
O 0.347 2.510 3.790
O 1.158 5.520 7.558
O 1.521 0.566 0.051
O 1.656 3.415 5.955
O 1.690 4.953 3.806
O 1.624 3.928 11.002
O 2.065 0.672 9.894
O 2.245 3.162 1.540
O 2.463 0.729 2.559
O 2.367 3.210 8.442
O 2.620 0.761 5.430
O 3.592 5.044 6.719
O 3.845 2.595 3.707
O 3.749 5.077 9.590
O 3.967 2.644 10.609
O 4.147 5.134 2.255
O 4.588 1.878 1.147
O 4.522 0.853 8.343
O 4.556 2.391 6.194
O 4.691 5.239 12.098
O 5.054 0.285 4.591
O 5.865 3.296 8.358
O 6.171 4.790 5.118
O 6.631 -0.084 2.248
! corrected total energy (MP2020 scheme): -379.97 eV per cell

! PBE Ba2Cu3O6, optimized geometry; values from VASP
&SYSTEM
  ibrav = 0, nat = 22, ntyp = 3
/
ATOMIC_SPECIES
Ba 137.33 Ba.upf
Cu 63.55 Cu.upf
O 16.00 O.upf
CELL_PARAMETERS angstrom
0.000 5.667 7.381
4.172 0.000 7.381
4.172 5.667 0.000
ATOMIC_POSITIONS angstrom
Ba 4.172 2.639 7.381
Ba 2.086 2.834 3.691
Ba 6.257 8.501 11.072
Ba 4.172 8.696 7.381
Cu 7.074 5.667 5.196
Cu 7.074 5.667 9.566
Cu 5.776 5.667 7.381
Cu 2.567 5.667 7.381
Cu 1.269 5.667 5.196
Cu 1.269 5.667 9.566
O 4.172 4.354 2.709
O 5.974 4.383 6.041
O 5.974 4.383 8.722
O 4.172 6.980 2.709
O 5.974 6.952 6.041
O 5.974 6.952 8.722
O 2.369 4.383 6.041
O 2.369 4.383 8.722
O 4.172 4.354 12.053
O 2.369 6.952 6.041
O 2.369 6.952 8.722
O 4.172 6.980 12.053
! polymorph energy (0 for the lowest one): 58 meV per atom
! corrected total energy (MP2020 scheme): -129.69 eV per cell

! PBE Sr3Nd4O9, optimized geometry; values from VASP
&SYSTEM
  ibrav = 0, nat = 32, ntyp = 3
/
ATOMIC_SPECIES
Sr 87.62 Sr.upf
Nd 144.24 Nd.upf
O 16.00 O.upf
CELL_PARAMETERS angstrom
7.533 0.000 0.000
-2.290 7.878 0.000
-1.726 -1.650 9.311
ATOMIC_POSITIONS angstrom
Sr 0.000 0.000 0.000
Sr -2.848 5.293 6.305
Sr -0.093 3.889 4.951
Sr 1.827 2.606 0.390
Sr 1.653 6.598 5.734
Sr 6.095 2.158 2.454
Nd -0.605 4.808 0.410
Nd 0.926 0.493 6.079
Nd 1.228 6.445 2.564
Nd 2.440 -1.225 9.105
Nd 2.900 2.598 3.758
Nd 1.789 3.262 8.518
Nd 5.070 1.677 6.644
Nd 4.825 6.062 3.040
O -2.252 0.741 9.291
O -0.951 6.734 1.722
O 0.382 -1.313 8.204
O -0.900 6.226 4.924
O 0.339 4.100 2.431
O -0.220 2.425 7.200
O 0.776 1.838 4.224
O 1.614 5.834 0.439
O 3.406 1.384 1.893
O 2.134 0.911 8.117
O 3.289 0.955 5.300
O 2.632 5.135 4.098
O 1.739 5.510 7.813
O 5.825 -0.283 1.942
O 4.678 4.533 1.320
O 3.986 3.539 7.773
O 5.131 3.198 4.721
O 6.148 -0.270 5.907
! polymorph energy (0 for the lowest one): 198 meV per atom
! corrected total energy (MP2020 scheme): -241.64 eV per cell

! PBE HoTaO4, optimized geometry; values from VASP
&SYSTEM
  ibrav = 0, nat = 6, ntyp = 3
/
ATOMIC_SPECIES
Ho 164.93 Ho.upf
Ta 180.95 Ta.upf
O 16.00 O.upf
CELL_PARAMETERS angstrom
3.591 0.000 0.000
0.000 3.591 0.000
0.000 0.000 5.258
ATOMIC_POSITIONS angstrom
Ho 0.000 0.000 0.000
Ta 1.796 1.796 2.629
O 0.000 1.796 1.437
O 0.000 1.796 3.821
O 1.796 0.000 1.437
O 1.796 0.000 3.821
! corrected total energy (MP2020 scheme): -57.17 eV per cell

! PBE CuPt2S4, optimized geometry; values from VASP
&SYSTEM
  ibrav = 0, nat = 14, ntyp = 3
/
ATOMIC_SPECIES
Cu 63.55 Cu.upf
Pt 195.08 Pt.upf
S 32.06 S.upf
CELL_PARAMETERS angstrom
6.280 0.000 0.000
0.000 6.995 0.000
-2.750 0.000 5.840
ATOMIC_POSITIONS angstrom
Cu 0.023 0.000 2.080
Cu 3.507 0.000 3.759
Pt 0.000 3.497 0.000
Pt 3.140 1.737 0.000
Pt 1.765 3.497 2.920
Pt 3.140 5.257 0.000
S -0.651 3.497 4.577
S -0.521 0.000 4.407
S 1.148 1.878 1.344
S 1.148 5.117 1.344
S 2.382 1.878 4.496
S 2.382 5.117 4.496
S 4.050 0.000 1.433
S 4.181 3.497 1.262
! corrected total energy (MP2020 scheme): -74.13 eV per cell

! PBE U, optimized geometry; values from VASP
&SYSTEM
  ibrav = 0, nat = 2, ntyp = 1
/
ATOMIC_SPECIES
U 238.03 U.upf
CELL_PARAMETERS angstrom
1.404 -2.899 0.000
1.404 2.899 0.000
0.000 0.000 4.910
ATOMIC_POSITIONS angstrom
U 1.404 2.325 3.682
U 1.404 -2.325 1.227
! polymorph energy (0 for the lowest one): 0 meV per atom

! PBE Na6Hf2Si5Sn2SO24, optimized geometry; values from VASP
&SYSTEM
  ibrav = 0, nat = 120, ntyp = 6
/
ATOMIC_SPECIES
Na 22.99 Na.upf
Hf 178.49 Hf.upf
Si 28.09 Si.upf
Sn 118.71 Sn.upf
S 32.06 S.upf
O 16.00 O.upf
CELL_PARAMETERS angstrom
9.095 0.000 0.000
4.540 7.881 0.000
0.096 0.022 22.911
ATOMIC_POSITIONS angstrom
Na 0.000 0.000 0.000
Na 2.935 5.008 11.535
Na 2.510 0.039 11.481
Na 4.128 2.868 0.095
Na 2.942 0.217 19.139
Na 5.821 5.260 13.404
Na 5.786 5.250 1.977
Na 4.611 2.633 15.276
Na 6.977 2.657 3.827
Na 8.751 5.516 15.322
Na 5.704 0.046 5.766
Na 8.657 5.005 0.038
Na 7.502 2.868 11.488
Na 10.469 7.831 17.251
Na 9.072 5.266 7.660
Na 10.323 2.678 21.014
Na 13.255 7.649 15.317
Na 10.359 2.535 9.560
Hf 5.869 5.353 16.787
Hf 5.912 5.290 10.008
Hf 10.385 7.889 13.822
Hf 10.484 7.818 20.623
Hf 10.280 2.667 17.659
Hf 10.378 2.639 12.984
Si 4.505 7.588 19.141
Si 2.635 0.369 15.342
Si 3.912 2.642 3.874
Si 7.131 7.600 7.651
Si 3.116 0.021 0.010
Si 4.493 2.329 11.509
Si 8.538 5.265 19.150
Si 7.164 2.889 7.668
Si 7.105 2.276 0.069
Si 9.078 5.608 11.459
Si 7.709 2.637 15.298
Si 9.065 4.951 3.881
Si 13.010 7.880 11.467
Si 11.668 5.595 0.075
Si 11.721 4.929 15.321
Sn 5.923 5.318 21.479
Sn 5.915 5.179 5.346
Sn 5.771 0.114 9.167
Sn 10.216 7.846 2.359
Sn 10.376 2.705 1.528
Sn 10.388 2.593 6.195
S 3.175 5.271 7.671
S 4.535 2.974 19.137
S 9.020 0.299 3.855
O 0.531 0.887 2.621
O 2.406 4.009 13.980
O 0.780 1.129 19.007
O 4.007 5.476 6.465
O 4.785 6.654 17.820
O 4.847 6.532 11.325
O 4.009 5.070 8.888
O 4.294 5.415 22.782
O 5.073 6.842 4.022
O 5.233 6.924 20.471
O 1.897 1.199 7.541
O 1.914 1.001 14.013
O 4.256 5.059 15.471
O 2.143 1.344 0.203
O 3.067 2.809 19.007
O 3.047 2.876 2.491
O 2.870 2.475 11.646
O 2.968 2.349 5.162
O 2.414 1.302 16.655
O 6.485 6.903 8.995
O 4.759 3.790 20.363
O 4.872 4.005 4.017
O 6.489 6.750 15.449
O 5.163 3.814 11.320
O 6.801 6.576 22.844
O 5.123 3.613 17.933
O 6.875 6.592 6.374
O 4.629 1.341 10.231
O 4.122 0.351 21.603
O 4.251 0.183 15.188
O 5.143 1.626 19.254
O 4.963 1.358 3.746
O 5.221 1.682 12.828
O 6.490 3.789 22.810
O 8.568 7.529 1.301
O 7.437 5.456 11.346
O 7.566 5.503 17.838
O 8.787 7.587 7.787
O 6.469 3.538 6.335
O 6.763 3.955 15.491
O 7.402 5.031 3.954
O 6.920 3.878 8.968
O 7.631 4.991 20.496
O 9.356 6.689 19.269
O 6.415 1.661 1.428
O 9.269 6.542 12.787
O 6.495 1.407 7.781
O 6.787 1.297 15.185
O 9.767 6.419 3.751
O 6.952 1.330 21.701
O 9.795 6.236 10.125
O 8.628 2.939 13.981
O 9.177 3.960 2.552
O 8.824 2.896 7.523
O 9.492 3.957 19.019
O 9.688 4.247 5.230
O 8.690 2.344 16.564
O 11.038 6.413 15.183
O 7.509 0.307 10.192
O 9.730 4.118 11.611
O 11.012 6.271 21.695
O 8.750 2.422 0.211
O 7.541 0.225 3.734
O 11.988 7.758 19.256
O 11.378 6.451 7.789
O 12.117 7.602 12.817
O 11.507 6.588 1.357
O 11.002 4.212 16.584
O 9.224 1.179 5.043
O 10.965 4.106 0.148
O 9.422 1.327 11.624
O 11.392 4.059 7.578
! corrected total energy (MP2020 scheme): -894.52 eV per cell

! PBE La2Th8O19, optimized geometry; values from VASP
&SYSTEM
  ibrav = 0, nat = 29, ntyp = 3
/
ATOMIC_SPECIES
La 138.91 La.upf
Th 232.04 Th.upf
O 16.00 O.upf
CELL_PARAMETERS angstrom
3.980 0.000 0.000
0.000 3.980 0.000
0.000 0.000 28.238
ATOMIC_POSITIONS angstrom
La 0.000 1.990 1.579
La 1.990 0.000 26.659
Th 0.000 1.990 7.059
Th 0.000 1.990 12.707
Th 0.000 1.990 18.358
Th 0.000 1.990 23.980
Th 1.990 0.000 4.258
Th 1.990 0.000 9.880
Th 1.990 0.000 15.531
Th 1.990 0.000 21.179
O 0.000 0.000 0.000
O 0.000 0.000 2.962
O 0.000 0.000 5.692
O 0.000 0.000 8.480
O 0.000 0.000 11.292
O 0.000 0.000 14.119
O 0.000 0.000 16.946
O 0.000 0.000 19.758
O 0.000 0.000 22.546
O 0.000 0.000 25.276
O 1.990 1.990 2.754
O 1.990 1.990 5.619
O 1.990 1.990 8.455
O 1.990 1.990 11.288
O 1.990 1.990 14.119
O 1.990 1.990 16.951
O 1.990 1.990 19.783
O 1.990 1.990 22.619
O 1.990 1.990 25.484
! polymorph energy (0 for the lowest one): 0 meV per atom
! corrected total energy (MP2020 scheme): -286.76 eV per cell

! PBE Cd2SnO4, optimized geometry; values from VASP
&SYSTEM
  ibrav = 0, nat = 14, ntyp = 3
/
ATOMIC_SPECIES
Cd 112.41 Cd.upf
Sn 118.71 Sn.upf
O 16.00 O.upf
CELL_PARAMETERS angstrom
-3.281 3.293 4.767
3.281 -3.293 4.767
3.281 3.293 -4.767
ATOMIC_POSITIONS angstrom
Cd 1.640 1.646 -2.384
Cd 1.640 -1.646 2.384
Cd 0.000 1.646 1.338
Cd 3.281 1.646 3.429
Sn 3.281 0.000 0.000
Sn 0.000 0.000 4.767
O 3.281 -0.086 2.064
O 1.868 1.646 0.014
O 4.694 1.646 0.014
O 3.281 3.207 -2.064
O 0.000 0.086 6.831
O -1.413 1.646 4.753
O 1.413 1.646 4.753
O 0.000 3.378 2.703
! polymorph energy (0 for the lowest one): 0 meV per atom
! corrected total energy (MP2020 scheme): -75.33 eV per cell

# U2Ga8Ru

Crystalline U2Ga8Ru at its relaxed geometry (PBE, Materials Project). Values from VASP.

```
&SYSTEM
  ibrav = 0, nat = 11, ntyp = 3
/
ATOMIC_SPECIES
U 238.03 U.upf
Ga 69.72 Ga.upf
Ru 101.07 Ru.upf
CELL_PARAMETERS angstrom
4.301 0.000 0.000
0.000 4.301 0.000
0.000 0.000 11.022
ATOMIC_POSITIONS angstrom
U 0.000 0.000 2.107
U 0.000 0.000 8.915
Ga 0.000 2.151 0.000
Ga 0.000 2.151 4.151
Ga 0.000 2.151 6.870
Ga 2.151 0.000 0.000
Ga 2.151 0.000 4.151
Ga 2.151 0.000 6.870
Ga 2.151 2.151 2.105
Ga 2.151 2.151 8.917
Ru 0.000 0.000 5.511
```

! PBE CaZn2H10O8, optimized geometry; values from VASP
&SYSTEM
  ibrav = 0, nat = 42, ntyp = 4
/
ATOMIC_SPECIES
Ca 40.08 Ca.upf
Zn 65.41 Zn.upf
H 1.01 H.upf
O 16.00 O.upf
CELL_PARAMETERS angstrom
6.215 0.000 0.000
0.000 9.976 0.000
-1.960 0.000 6.642
ATOMIC_POSITIONS angstrom
Ca 0.000 0.000 0.000
Ca -0.980 4.988 3.321
Zn 2.289 2.482 2.086
Zn 1.309 2.506 5.407
Zn 2.947 7.470 1.235
Zn 1.966 7.494 4.556
H 0.010 7.177 1.778
H -0.970 7.786 5.099
H 0.184 2.143 3.154
H -0.796 2.845 6.475
H 0.796 5.953 1.129
H -0.185 9.010 4.450
H 0.198 5.664 6.476
H 1.178 9.300 3.155
H 1.170 5.371 5.013
H 2.150 9.592 1.692
H 2.106 0.383 4.949
H 3.086 4.605 1.628
H 3.078 0.676 3.487
H 4.058 4.312 0.166
H 4.440 0.965 2.192
H 3.460 4.023 5.513
H 5.052 7.131 0.167
H 4.072 7.832 3.488
H 5.225 2.190 1.543
H 4.245 2.798 4.864
O -0.200 6.272 1.476
O -1.180 8.691 4.797
O 1.762 2.105 0.114
O 0.782 2.883 3.435
O 0.585 6.091 4.630
O 1.566 8.873 1.310
O 2.096 5.730 0.817
O 1.116 9.233 4.138
O 3.139 0.742 2.504
O 2.159 4.246 5.825
O 2.690 1.103 5.332
O 3.670 3.885 2.011
O 3.473 7.093 3.207
O 2.493 7.870 6.528
O 5.435 1.285 1.845
O 4.455 3.703 5.166
! polymorph energy (0 for the lowest one): 58 meV per atom
! corrected total energy (MP2020 scheme): -220.23 eV per cell

! PBE NaPmTe2, optimized geometry; values from VASP
&SYSTEM
  ibrav = 0, nat = 4, ntyp = 3
/
ATOMIC_SPECIES
Na 22.99 Na.upf
Pm 145.00 Pm.upf
Te 127.60 Te.upf
CELL_PARAMETERS angstrom
0.000 3.890 3.890
3.890 0.000 3.890
3.890 3.890 0.000
ATOMIC_POSITIONS angstrom
Na 0.000 0.000 0.000
Pm 3.890 3.890 3.890
Te 1.945 1.945 1.945
Te 5.836 5.836 5.836
! corrected total energy (MP2020 scheme): -17.55 eV per cell

Number 1: energy of formation from the pure elements -3657.9 meV per atom. Number 2: energy of formation from the pure elements -1729.4 meV per atom. Number 3: energy of formation from the pure elements -3259.1 meV per atom. Number 4: energy of formation from the pure elements -3489.5 meV per atom. Number 5: energy of formation from the pure elements -611.4 meV per atom. Number 6: energy of formation from the pure elements 0.0 meV per atom. Number 7: energy of formation from the pure elements -2807.3 meV per atom. Number 8: energy of formation from the pure elements -4260.8 meV per atom. Number 9: energy of formation from the pure elements -1717.1 meV per atom. Number 10: energy of formation from the pure elements -303.4 meV per atom. Number 11: energy of formation from the pure elements -1527.6 meV per atom. Number 12: energy of formation from the pure elements -1297.1 meV per atom.